Density functional theory data (PBE) for an optimized crystal structure of Cr2B2Ir.

abc: 2.9056 7.2073 9.3330
angles: 90.00 90.00 90.00
Sites, in units of the cell vectors:
Cr  0.5000  0.8078  0.1386
Cr  0.5000  0.1922  0.8614
Cr  0.0000  0.6922  0.6386
Cr  0.0000  0.3078  0.3614
Cr  0.5000  0.5644  0.8605
Cr  0.5000  0.4356  0.1395
Cr  0.0000  0.9356  0.3605
Cr  0.0000  0.0644  0.6395
B  0.5000  0.1164  0.4630
B  0.5000  0.8836  0.5370
B  0.0000  0.3836  0.9630
B  0.0000  0.6164  0.0370
B  0.5000  0.1239  0.2725
B  0.5000  0.8761  0.7275
B  0.0000  0.3761  0.7725
B  0.0000  0.6239  0.2275
Ir  0.5000  0.6238  0.3946
Ir  0.5000  0.3762  0.6054
Ir  0.0000  0.8762  0.8946
Ir  0.0000  0.1238  0.1054

## Properties
- energy of formation (kcal/mol of atoms) = -8.80

---

Density functional theory data (PBE) for an optimized crystal structure of CaSiO3.

abc: 5.1017 5.1157 7.2064
angles: 90.00 90.00 90.00
Sites, in units of the cell vectors:
Ca  0.4928  0.9989  0.2500
Ca  0.5072  0.0011  0.7500
Ca  0.9928  0.5011  0.2500
Ca  0.0072  0.4989  0.7500
Si  0.0000  0.0000  0.5000
Si  0.0000  0.0000  0.0000
Si  0.5000  0.5000  0.0000
Si  0.5000  0.5000  0.5000
O  0.7379  0.7621  0.4819
O  0.2621  0.2379  0.9819
O  0.9988  0.9646  0.7500
O  0.7621  0.2621  0.5181
O  0.0012  0.0354  0.2500
O  0.5012  0.4646  0.2500
O  0.7621  0.2621  0.9819
O  0.4988  0.5354  0.7500
O  0.2621  0.2379  0.5181
O  0.2379  0.7379  0.4819
O  0.7379  0.7621  0.0181
O  0.2379  0.7379  0.0181

## Properties
- energy of formation (kcal/mol of atoms) = -73.95

---

Density functional theory data (PBE) for an optimized crystal structure of La2MgSe4.

abc: 4.2008 13.7076 14.8356
angles: 90.00 90.00 90.00
Sites, in units of the cell vectors:
La  0.2500  0.1214  0.0748
La  0.7500  0.8786  0.9252
La  0.7500  0.3786  0.5748
La  0.2500  0.6214  0.4252
La  0.2500  0.1315  0.7054
La  0.7500  0.8685  0.2946
La  0.7500  0.3685  0.2054
La  0.2500  0.6315  0.7946
Mg  0.7500  0.1060  0.4641
Mg  0.2500  0.8940  0.5359
Mg  0.2500  0.3940  0.9641
Mg  0.7500  0.6060  0.0359
Se  0.7500  0.9997  0.6130
Se  0.2500  0.0003  0.3870
Se  0.2500  0.5003  0.1130
Se  0.7500  0.4997  0.8870
Se  0.2500  0.0267  0.8856
Se  0.7500  0.9733  0.1144
Se  0.7500  0.4733  0.3856
Se  0.2500  0.5267  0.6144
Se  0.2500  0.2298  0.2457
Se  0.7500  0.7702  0.7543
Se  0.7500  0.2702  0.7457
Se  0.2500  0.7298  0.2543
Se  0.7500  0.2702  0.0152
Se  0.2500  0.7298  0.9848
Se  0.2500  0.2298  0.5152
Se  0.7500  0.7702  0.4848

## Properties
- energy of formation (kcal/mol of atoms) = -45.38

---

Density functional theory data (PBE) for an optimized crystal structure of Na3Ca2Sn2P3S3O24.

abc: 9.0125 8.9900 23.4868
angles: 90.09 89.72 120.07
Sites, in units of the cell vectors:
Na  0.6610  0.6848  0.0847
Na  0.3321  0.2962  0.9158
Na  0.3318  0.0356  0.4158
Na  0.9959  0.0016  0.5030
Na  0.0076  0.9967  0.0028
Na  0.6805  0.3340  0.8297
Na  0.6801  0.3454  0.3291
Na  0.3120  0.6559  0.1660
Na  0.3345  0.6776  0.6658
Ca  0.9965  0.0019  0.3446
Ca  0.9934  0.9913  0.8441
Ca  0.6745  0.3379  0.9848
Ca  0.6677  0.3350  0.4848
Ca  0.3183  0.6638  0.0238
Ca  0.3331  0.6694  0.5246
Sn  0.0072  0.0013  0.6564
Sn  0.0109  0.0040  0.1566
Sn  0.6601  0.3272  0.6850
Sn  0.6659  0.3353  0.1852
Sn  0.3333  0.6624  0.3094
Sn  0.3339  0.6710  0.8093
P  0.3062  0.0013  0.2516
P  0.6993  0.6995  0.2483
P  0.9968  0.3001  0.2487
P  0.3029  0.3032  0.7514
P  0.9967  0.6938  0.7483
P  0.7020  0.0011  0.7483
P  0.3613  0.0400  0.5863
P  0.9586  0.6368  0.0894
P  0.3653  0.3228  0.0856
S  0.9580  0.3213  0.5883
S  0.6784  0.6374  0.5885
S  0.6781  0.0406  0.0879
S  0.6203  0.6664  0.9157
S  0.0437  0.3775  0.9127
S  0.3354  0.9597  0.9136
S  0.6210  0.9547  0.4144
S  0.3349  0.3772  0.4144
S  0.0444  0.6648  0.4136
O  0.2422  0.0345  0.3071
O  0.8041  0.7738  0.3006
O  0.9652  0.1998  0.3024
O  0.2380  0.2063  0.8068
O  0.9612  0.7600  0.8021
O  0.8020  0.0335  0.8019
O  0.7866  0.9684  0.6948
O  0.1830  0.2157  0.6994
O  0.0314  0.8116  0.6952
O  0.7803  0.8117  0.1931
O  0.0299  0.2163  0.1951
O  0.1863  0.9679  0.1996
O  0.8711  0.3475  0.6391
O  0.4827  0.1407  0.6371
O  0.6589  0.5280  0.6395
O  0.8662  0.5181  0.1413
O  0.6526  0.1245  0.1389
O  0.4890  0.3470  0.1359
O  0.4304  0.2937  0.0286
O  0.8510  0.5676  0.0353
O  0.7025  0.1382  0.0355
O  0.4293  0.1342  0.5295
O  0.7054  0.5654  0.5362
O  0.8614  0.2975  0.5360
O  0.5396  0.6790  0.9686
O  0.1454  0.4602  0.9636
O  0.3218  0.8616  0.9644
O  0.5370  0.8567  0.4657
O  0.3211  0.4620  0.4653
O  0.1465  0.6833  0.4644
O  0.1305  0.6468  0.3603
O  0.5116  0.8683  0.3618
O  0.3515  0.4786  0.3608
O  0.1310  0.4831  0.8598
O  0.3510  0.8737  0.8600
O  0.5086  0.6454  0.8642
O  0.0363  0.8261  0.4097
O  0.7921  0.9754  0.4099
O  0.1820  0.2020  0.4114
O  0.0355  0.2081  0.9087
O  0.1820  0.9807  0.9107
O  0.7915  0.8177  0.9108
O  0.9675  0.1595  0.5955
O  0.1820  0.0307  0.5951
O  0.8363  0.8121  0.5951
O  0.9637  0.8152  0.0974
O  0.8347  0.0227  0.0944
O  0.1837  0.1618  0.0956
O  0.6763  0.1588  0.7387
O  0.4851  0.3278  0.7404
O  0.8397  0.5105  0.7373
O  0.6717  0.5148  0.2403
O  0.8390  0.3240  0.2387
O  0.4878  0.1587  0.2400
O  0.6277  0.5039  0.9153
O  0.8724  0.3581  0.9146
O  0.4904  0.1342  0.9141
O  0.6288  0.1251  0.4157
O  0.4900  0.3579  0.4149
O  0.8726  0.5125  0.4156
O  0.3593  0.4913  0.0857
O  0.1385  0.6641  0.0877
O  0.5282  0.8651  0.0850
O  0.3392  0.8604  0.5877
O  0.5251  0.6539  0.5867
O  0.1308  0.4709  0.5864
O  0.3239  0.8362  0.2546
O  0.5160  0.6807  0.2527
O  0.1621  0.4843  0.2525
O  0.3225  0.4870  0.7542
O  0.1619  0.6763  0.7527
O  0.5175  0.8364  0.7524

## Properties
- energy of formation (kcal/mol of atoms) = -56.58

---

- Which value of energy of formation does entry 2 give?
  -73.95 kcal/mol of atoms